No. 1
First-principles (PBE) data for a geometry-optimized V3S4 structure, as listed in the Materials Project database.

abc: 9.0852 9.0852 3.2562
angles: 90.00 90.00 120.00
Element x y z (fractional)
1 S 0.2951 0.9486 0.7500
2 S 0.6535 0.7049 0.7500
3 S 0.9486 0.6535 0.2500
4 S 0.0514 0.3465 0.7500
5 S 0.3333 0.6667 0.2500
6 S 0.6667 0.3333 0.7500
7 S 0.3465 0.2951 0.2500
8 S 0.7049 0.0514 0.2500
9 V 0.1193 0.6300 0.7500
10 V 0.8807 0.3700 0.2500
11 V 0.3700 0.4893 0.7500
12 V 0.4893 0.1193 0.2500
13 V 0.5107 0.8807 0.7500
14 V 0.6300 0.5107 0.2500

- Excess energy over the best structure of this formula in the dataset: 0.0000 eV per atom

No. 2
First-principles (PBE) data for a geometry-optimized ZrIn structure, as listed in the Materials Project database.

abc: 5.4518 5.4518 5.4518
angles: 34.54 34.54 34.54
Element x y z (fractional)
1 Zr 0.5000 0.5000 0.5000
2 In 0.0000 0.0000 0.0000

- E_tot: -5.811 eV per atom
- Total magnetic moment: 0.0 μB/cell

No. 3
First-principles (PBE) data for a geometry-optimized Rb3B12H12Br structure, as listed in the Materials Project database.

abc: 7.1329 7.1329 7.1329
angles: 93.11 93.11 93.11
Element x y z (fractional)
1 B 0.9419 0.7705 0.9419
2 B 0.0581 0.2295 0.0581
3 B 0.8800 0.1580 0.8800
4 B 0.8420 0.1200 0.1200
5 B 0.0581 0.0581 0.2295
6 B 0.8800 0.8800 0.1580
7 B 0.9419 0.9419 0.7705
8 B 0.7705 0.9419 0.9419
9 B 0.1200 0.8420 0.1200
10 B 0.1200 0.1200 0.8420
11 B 0.1580 0.8800 0.8800
12 B 0.2295 0.0581 0.0581
13 H 0.7937 0.2694 0.7937
14 H 0.6074 0.9005 0.9005
15 H 0.7937 0.7937 0.2694
16 H 0.3926 0.0995 0.0995
17 H 0.0995 0.0995 0.3926
18 H 0.9005 0.9005 0.6074
19 H 0.9005 0.6074 0.9005
20 H 0.7306 0.2063 0.2063
21 H 0.2694 0.7937 0.7937
22 H 0.2063 0.7306 0.2063
23 H 0.0995 0.3926 0.0995
24 H 0.2063 0.2063 0.7306
25 Rb 0.5000 0.5000 0.0000
26 Rb 0.5000 0.0000 0.5000
27 Rb 0.0000 0.5000 0.5000
28 Br 0.5000 0.5000 0.5000

- E_tot: -4.955 eV per atom
- Total magnetic moment: 0.0 μB/cell

No. 4
First-principles (PBE) data for a geometry-optimized Na3Ca3HfPS5O24 structure, as listed in the Materials Project database.

abc: 9.1832 9.1748 23.7719
angles: 89.90 90.18 120.31
Element x y z (fractional)
1 Ca 0.3341 0.6782 0.3227
2 Ca 0.6807 0.3384 0.1843
3 Ca 0.3464 0.6644 0.5162
4 Ca 0.0048 0.0033 0.8510
5 Ca 0.9908 0.0041 0.6519
6 Ca 0.9849 0.9950 0.1468
7 Ca 0.6598 0.3324 0.6867
8 Ca 0.3305 0.6571 0.0143
9 Ca 0.9937 0.9915 0.3516
10 Na 0.9850 0.0008 0.5015
11 Na 0.6646 0.3252 0.8271
12 Na 0.0010 0.0156 0.9877
13 Na 0.3316 0.6653 0.1701
14 Na 0.2966 0.9609 0.0751
15 Na 0.3704 0.6628 0.6659
16 Na 0.0310 0.6991 0.5849
17 Na 0.3597 0.3585 0.2525
18 Na 0.6843 0.3301 0.3324
19 O 0.5157 0.6696 0.2525
20 O 0.6662 0.5184 0.2492
21 O 0.1907 0.9933 0.9117
22 O 0.3566 0.4771 0.0780
23 O 0.1674 0.4716 0.2537
24 O 0.9954 0.8034 0.4169
25 O 0.5102 0.8786 0.0758
26 O 0.8189 0.0324 0.0778
27 O 0.8467 0.4992 0.4273
28 O 0.2157 0.2093 0.8021
29 O 0.4647 0.1150 0.6324
30 O 0.1306 0.4464 0.9714
31 O 0.5422 0.9142 0.3671
32 O 0.3390 0.8641 0.5756
33 O 0.2036 0.0310 0.5801
34 O 0.2157 0.1679 0.0794
35 O 0.1339 0.6542 0.0777
36 O 0.1953 0.1867 0.4141
37 O 0.3615 0.8641 0.8714
38 O 0.4660 0.3411 0.1359
39 O 0.7867 0.7780 0.3012
40 O 0.2059 0.2477 0.7009
41 O 0.9938 0.2041 0.3017
42 O 0.4748 0.3423 0.7505
43 O 0.5537 0.6798 0.9689
44 O 0.7924 0.0082 0.8025
45 O 0.8445 0.7994 0.5790
46 O 0.8569 0.3695 0.9224
47 O 0.5199 0.6540 0.5789
48 O 0.0973 0.6319 0.3714
49 O 0.6565 0.1571 0.4266
50 O 0.3229 0.8775 0.9773
51 O 0.5122 0.6322 0.8677
52 O 0.1285 0.4895 0.8663
53 O 0.6734 0.5194 0.5307
54 O 0.8120 0.0101 0.4159
55 O 0.9731 0.1832 0.5794
56 O 0.1187 0.4925 0.5750
57 O 0.8673 0.5239 0.7494
58 O 0.0394 0.7894 0.6973
59 O 0.4847 0.3254 0.0336
60 O 0.7730 0.7870 0.1987
61 O 0.1197 0.6759 0.4731
62 O 0.9914 0.7897 0.7983
63 O 0.6525 0.1266 0.1306
64 O 0.4974 0.3442 0.4258
65 O 0.2076 0.9873 0.1934
66 O 0.6745 0.1528 0.0287
67 O 0.6310 0.4942 0.9219
68 O 0.3219 0.8522 0.2515
69 O 0.2058 0.0139 0.2956
70 O 0.1705 0.6868 0.7621
71 O 0.7522 0.9602 0.7012
72 O 0.3219 0.4499 0.4641
73 O 0.6591 0.1343 0.7502
74 O 0.8594 0.3271 0.2490
75 O 0.8739 0.3455 0.6321
76 O 0.8806 0.5396 0.1315
77 O 0.9758 0.7987 0.0772
78 O 0.7957 0.7974 0.9090
79 O 0.5538 0.8792 0.4683
80 O 0.5121 0.8301 0.7629
81 O 0.0207 0.2187 0.1996
82 O 0.6666 0.5347 0.6362
83 O 0.4686 0.1416 0.5303
84 O 0.3704 0.4541 0.3632
85 O 0.3200 0.4899 0.7624
86 O 0.8573 0.5291 0.0293
87 O 0.8458 0.3209 0.5302
88 O 0.9929 0.1907 0.9097
89 O 0.4669 0.1610 0.2468
90 O 0.5086 0.1453 0.9235
91 S 0.6402 0.9850 0.4195
92 S 0.6661 0.0463 0.0788
93 S 0.3026 0.3170 0.7538
94 S 0.6842 0.9874 0.7543
95 S 0.6245 0.6567 0.9173
96 S 0.3806 0.3308 0.0820
97 S 0.0073 0.3031 0.2512
98 S 0.6896 0.6927 0.2504
99 S 0.0205 0.6574 0.4222
100 S 0.0117 0.6979 0.7516
101 S 0.3408 0.3592 0.4166
102 S 0.2987 0.0005 0.2469
103 S 0.9606 0.6289 0.0790
104 S 0.3688 0.0382 0.5809
105 S 0.9542 0.3333 0.5806
106 Hf 0.6714 0.3322 0.9747
107 Hf 0.6611 0.3365 0.4849
108 Hf 0.3246 0.6676 0.8228
109 P 0.0314 0.3705 0.9181
110 P 0.3385 0.9658 0.9215
111 P 0.6730 0.6306 0.5833

- E_tot: -6.596 eV per atom
- Total magnetic moment: 0.0 μB/cell